Entry 1:
The following is a PBE calculation of a geometry-optimized Hf2U structure, from Materials Project.

a b c (Å): 5.201 5.201 2.965
angles (deg): 90.00 90.00 120.00
Fractional positions:
Hf1 0.333 0.667 0.000
Hf2 0.667 0.333 0.000
U1 0.000 0.000 0.500

Computed properties:
Its formation energy from the elements is 357 meV per atom. As for the total energy: -10.045 eV/atom. As for the total moment: 0.0 μB/f.u.

Entry 2:
The following is a PBE calculation of a geometry-optimized KAuI4O12 structure, from Materials Project.

a b c (Å): 5.905 7.413 8.246
angles (deg): 104.96 93.78 112.44
Fractional positions:
K1 0.000 0.000 0.000
Au1 0.224 0.998 0.488
I1 0.310 0.690 0.699
I2 0.313 0.644 0.180
I3 0.616 0.345 0.859
I4 0.692 0.303 0.350
O1 0.032 0.405 0.118
O2 0.075 0.764 0.587
O3 0.123 0.802 0.249
O4 0.163 0.682 0.886
O5 0.289 0.199 0.722
O6 0.355 0.232 0.386
O7 0.450 0.656 0.388
O8 0.492 0.330 0.055
O9 0.569 0.942 0.776
O10 0.627 0.596 0.866
O11 0.674 0.054 0.234
O12 0.836 0.331 0.563

Computed properties:
Its formation energy from the elements is -917 meV per atom. The excess energy over the best structure of this formula in the dataset is 0.000 eV per atom. As for the total energy: -4.340 eV/atom. As for the total moment: 0.0 μB/f.u.

Entry 3:
The following is a PBE calculation of a geometry-optimized MgCu2Rh4O8 structure, from Materials Project.

a b c (Å): 6.513 6.513 6.513
angles (deg): 120.01 119.99 90.00
Fractional positions:
Mg1 0.000 0.000 0.000
Cu1 0.249 0.749 0.500
Cu2 0.499 0.499 0.000
Rh1 0.413 0.138 0.276
Rh2 0.862 0.137 0.275
Rh3 0.862 0.138 0.724
Rh4 0.862 0.587 0.725
O1 0.081 0.360 0.721
O2 0.119 0.358 0.239
O3 0.119 0.880 0.238
O4 0.119 0.880 0.761
O5 0.639 0.360 0.279
O6 0.639 0.361 0.721
O7 0.639 0.918 0.279
O8 0.642 0.880 0.762

Computed properties:
Its formation energy from the elements is -626 meV per atom. The excess energy over the best structure of this formula in the dataset is 0.470 eV per atom. As for the total energy: -5.515 eV/atom. As for the total moment: 0.0 μB/f.u.

Q: Number 1 is which compound?
A: Hf2U